# CeZnNi

Crystalline CeZnNi at its relaxed geometry (PBE-GGA, the Materials Project database).

* E_form: -0.41 eV/atom

abc: 7.0839 7.0839 3.8123
angles: 90.00 90.00 120.00
Space group P-62m (No. 189)
One atom of each set of equivalent atoms:
Ce (0.0000, 0.4158, 0.0000) x3
Zn (0.0000, 0.7612, 0.5000) x3
Ni (0.0000, 0.0000, 0.0000) x1
Ni (0.3333, 0.6667, 0.5000) x2